1.
A relaxed RbCaBr3 crystal, computed with PBE.

Cell lengths 5.743, 5.743, 5.740 Å; angles 89.94, 89.94, 90.03 degrees
Fractional coordinates of all 5 atoms:
Rb 0.002 0.002 0.998
Ca 0.505 0.505 0.483
Br 0.504 0.002 0.486
Br 0.492 0.492 0.984
Br 0.002 0.504 0.486

Results
- Spin magnetization: 0.0 μB per cell
- E_form: -2.260 eV/atom
- Calculated total energy: -3.519 eV/atom
- Space-group type: No. 8
- Theoretical density: 3203 kg/m3

---

2.
A relaxed Li4CO4 crystal, computed with PBE.

Cell lengths 4.684, 4.684, 4.684 Å; angles 72.76, 72.76, 72.76 degrees
Fractional coordinates of all 9 atoms:
Li 0.429 0.946 0.429
Li 0.946 0.429 0.429
Li 0.429 0.429 0.946
Li 0.817 0.817 0.817
C 0.040 0.040 0.040
O 0.852 0.271 0.852
O 0.174 0.174 0.174
O 0.271 0.852 0.852
O 0.852 0.852 0.271

Results
- Spin magnetization: 0.0 μB per cell
- E_form: -1.993 eV/atom
- Calculated total energy: -5.761 eV/atom
- Space-group type: No. 160
- Theoretical density: 1888 kg/m3

---

3.
A relaxed Pr31Ni64 crystal, computed with PBE.

Cell lengths 10.378, 10.378, 18.024 Å; angles 73.27, 90.00, 120.00 degrees
Fractional coordinates of all 95 atoms:
Pr 0.500 0.999 0.000
Pr 0.993 0.986 0.493
Pr 0.750 0.991 0.259
Pr 0.258 0.993 0.749
Pr 0.000 0.500 0.000
Pr 0.521 0.514 0.493
Pr 0.750 0.500 0.259
Pr 0.258 0.515 0.749
Pr 0.500 0.500 0.000
Pr 0.993 0.514 0.493
Pr 0.241 0.991 0.259
Pr 0.736 0.993 0.749
Pr 0.438 0.374 0.188
Pr 0.940 0.374 0.686
Pr 0.438 0.877 0.188
Pr 0.940 0.880 0.686
Pr 0.186 0.372 0.442
Pr 0.688 0.376 0.937
Pr 0.935 0.374 0.188
Pr 0.433 0.374 0.686
Pr 0.646 0.902 0.452
Pr 0.187 0.876 0.936
Pr 0.646 0.292 0.452
Pr 0.187 0.375 0.936
Pr 0.937 0.875 0.188
Pr 0.452 0.904 0.645
Pr 0.256 0.902 0.452
Pr 0.689 0.876 0.936
Pr 0.249 0.499 0.252
Pr 0.751 0.501 0.748
Pr 0.000 0.000 0.001
Ni 0.969 0.187 0.344
Ni 0.469 0.187 0.844
Ni 0.469 0.687 0.344
Ni 0.969 0.688 0.844
Ni 0.219 0.687 0.094
Ni 0.719 0.687 0.594
Ni 0.969 0.438 0.344
Ni 0.469 0.437 0.844
Ni 0.219 0.437 0.094
Ni 0.719 0.438 0.594
Ni 0.469 0.438 0.344
Ni 0.969 0.437 0.844
Ni 0.594 0.688 0.219
Ni 0.094 0.688 0.719
Ni 0.094 0.187 0.219
Ni 0.594 0.187 0.719
Ni 0.094 0.688 0.219
Ni 0.594 0.688 0.719
Ni 0.469 0.687 0.094
Ni 0.968 0.687 0.594
Ni 0.219 0.687 0.344
Ni 0.719 0.688 0.844
Ni 0.219 0.187 0.344
Ni 0.719 0.187 0.844
Ni 0.967 0.688 0.345
Ni 0.468 0.689 0.843
Ni 0.967 0.935 0.345
Ni 0.468 0.936 0.843
Ni 0.844 0.689 0.467
Ni 0.344 0.688 0.969
Ni 0.720 0.688 0.345
Ni 0.221 0.689 0.843
Ni 0.719 0.187 0.094
Ni 0.217 0.189 0.595
Ni 0.719 0.439 0.094
Ni 0.217 0.433 0.595
Ni 0.595 0.189 0.216
Ni 0.093 0.186 0.721
Ni 0.468 0.187 0.094
Ni 0.972 0.189 0.595
Ni 0.719 0.687 0.094
Ni 0.210 0.674 0.595
Ni 0.218 0.186 0.094
Ni 0.731 0.195 0.595
Ni 0.470 0.192 0.337
Ni 0.969 0.187 0.844
Ni 0.719 0.938 0.094
Ni 0.210 0.941 0.595
Ni 0.470 0.941 0.337
Ni 0.969 0.938 0.844
Ni 0.218 0.938 0.094
Ni 0.731 0.941 0.595
Ni 0.856 0.193 0.471
Ni 0.343 0.187 0.969
Ni 0.336 0.673 0.471
Ni 0.844 0.688 0.969
Ni 0.336 0.193 0.471
Ni 0.844 0.187 0.969
Ni 0.722 0.192 0.337
Ni 0.218 0.187 0.844
Ni 0.968 0.186 0.094
Ni 0.464 0.195 0.595
Ni 0.968 0.687 0.094
Ni 0.464 0.674 0.595

Results
- Spin magnetization: 0.0 μB per cell
- E_form: -0.285 eV/atom
- Calculated total energy: -5.739 eV/atom
- Space-group type: No. 160
- Theoretical density: 8508 kg/m3

---

Which formula does entry 2 have? Li4CO4

---

Which formula does entry 3 have? Pr31Ni64